Run one
Entry from the Materials Project database: a relaxed Te2MoWS2 crystal (PBE).

Crystal system: trigonal
SG: P-3m1 (164)

Geometry as POSCAR:
```
Te2MoWS2
1.0
-2.7868 -0.9785 -1.6114
1.9790 -2.2850 1.4775
-20.9642 3.7967 33.9510
S W Mo Te
4 2 2 4
Cartesian
-6.3099 -0.6360 11.2988
-15.4622 1.1693 22.5183
-17.0441 1.4558 25.0801
-4.7280 -0.9225 8.7370
-20.1568 2.0195 30.1211
-1.6153 -1.4862 3.6960
-7.1084 -0.3436 8.9896
-14.6637 0.8769 24.8275
-17.5757 1.4042 29.5434
-2.2117 -1.2304 1.0595
-19.5604 1.7637 32.7576
-4.1964 -0.8710 4.2737
```

Run two
Entry from the Materials Project database: a relaxed Te2MoWS2 crystal (PBE).

Crystal system: trigonal
SG: P3m1 (156)

Geometry as POSCAR:
```
Te2MoWS2
1.0
1.6800 -2.9098 0.0000
1.6800 2.9098 0.0000
0.0000 0.0000 38.4410
W S Te Mo
2 4 4 2
Cartesian
1.6800 0.9699 10.8328
0.0000 0.0000 18.0521
0.0000 0.0000 12.3489
1.6800 0.9699 2.0950
1.6800 0.9699 5.1259
0.0000 0.0000 9.3152
0.0000 0.0000 27.1615
1.6800 0.9699 16.1536
1.6800 0.9699 19.9489
0.0000 0.0000 23.3962
1.6800 0.9699 25.2799
0.0000 0.0000 3.6107
```

Which is most stable? The ranking, best first, is run two, run one.

Run one
Entry from the Materials Project database: a relaxed YMg6W crystal (PBE).

Geometry as POSCAR:
```
YMg6W
1.0
5.0246 0.0000 0.0000
0.0000 6.2477 0.0000
0.0000 0.0000 11.2652
Y Mg W
2 12 2
Cartesian
0.0000 3.1239 3.4871
0.0000 0.0000 9.1197
2.5123 4.6990 4.8142
0.0000 4.6110 0.8473
2.5123 3.1239 7.5698
2.5123 4.6726 10.4468
0.0000 0.0000 3.7044
2.5123 0.0000 1.9371
0.0000 3.1239 9.3370
2.5123 1.5487 4.8142
0.0000 1.4872 6.4800
0.0000 4.7606 6.4800
0.0000 1.6367 0.8473
2.5123 1.5751 10.4468
2.5123 3.1239 2.0788
2.5123 0.0000 7.7114
```

Run two
Entry from the Materials Project database: a relaxed YMg6W crystal (PBE).

Geometry as POSCAR:
```
YMg6W
1.0
5.0605 0.0000 0.0000
0.0000 6.1924 0.0000
0.0000 0.0000 11.3098
Mg W Y
12 2 2
Cartesian
0.0000 4.5250 0.9822
2.5302 1.5356 4.7372
2.5302 4.6568 4.7372
0.0000 3.0962 3.5995
0.0000 1.4288 6.6371
2.5302 1.5606 10.3922
0.0000 1.6674 0.9822
0.0000 0.0000 3.8067
2.5302 4.6318 10.3922
0.0000 4.7636 6.6371
0.0000 0.0000 9.2544
0.0000 3.0962 9.4616
2.5302 3.0962 1.8709
2.5302 0.0000 7.5259
2.5302 3.0962 7.5585
2.5302 0.0000 1.9036
```

Which is most stable? The ranking, best first, is run one, run two.

Run one
Entry from the Materials Project database: a relaxed CsMg6SiO8 crystal (PBE).

Crystal system: triclinic
SG: P1 (1)

Geometry as POSCAR:
```
CsMg6SiO8
1.0
7.3883 -0.0108 0.1780
0.0040 4.2076 0.0504
0.0028 -0.0290 6.8069
Mg O Cs Si
6 8 1 1
Cartesian
2.1053 2.0742 0.7846
2.0324 4.1882 2.8206
3.7443 4.1677 6.2344
5.4278 2.0729 0.7323
3.6582 2.0756 4.0622
5.2497 4.1851 2.7355
3.6833 4.1808 4.1817
3.7530 2.0662 6.2690
2.0158 -0.0011 0.6682
5.0836 2.0820 2.6780
0.1043 2.3992 0.3263
7.3441 -0.0147 2.5309
5.5192 -0.0051 0.5812
2.1364 2.0832 2.7969
7.2178 2.0151 4.5738
0.0839 4.0395 0.7440
```

Run two
Entry from the Materials Project database: a relaxed CsMg6SiO8 crystal (PBE).

Crystal system: monoclinic
SG: P2/m (10)

Geometry as POSCAR:
```
CsMg6SiO8
1.0
9.4991 0.0000 0.0000
0.0000 4.5995 -0.0037
0.0000 -0.0037 4.5048
O Mg Si Cs
8 6 1 1
Cartesian
2.7611 2.2978 2.2505
4.7495 2.2997 -0.0019
6.7381 2.2978 2.2505
0.0001 4.5971 2.2476
0.0001 2.3015 -0.0016
4.7495 4.5976 2.2487
2.6150 4.5994 -0.0037
6.8840 4.5994 -0.0037
6.8159 4.5976 2.2487
2.6832 4.5976 2.2487
4.7495 4.5994 -0.0037
4.7496 2.2978 2.2505
6.8095 2.2997 -0.0019
2.6896 2.2997 -0.0019
0.0000 4.5986 -0.0031
0.0001 2.2981 2.2505
```

Which is most stable? The ranking, best first, is run one, run two.

Run one
Entry from the Materials Project database: a relaxed NbNO crystal (PBE).

Crystal system: triclinic
SG: P1 (1)

Geometry as POSCAR:
```
NbNO
1.0
-5.0367 0.0000 0.0000
0.9025 5.1852 0.0000
-0.0041 -0.0427 -10.2343
N O Nb
8 8 8
Cartesian
-4.5457 1.1690 -8.8706
-0.0426 1.3839 -6.2188
-2.2918 3.0610 -0.7037
-4.0772 3.7619 -8.7418
0.3764 4.0296 -1.1521
0.3992 3.9774 -6.2549
-4.0897 3.7452 -3.6502
-4.5692 1.1336 -3.7140
-2.7905 0.4729 -1.5377
-0.0560 1.4133 -1.1060
-2.7572 0.4454 -6.6446
-1.3761 4.6754 -9.1743
-1.8242 2.0848 -3.2740
-1.3891 4.6620 -4.0838
-2.3127 3.0360 -5.8170
-1.8217 2.0955 -8.3519
-0.5415 2.7126 -4.7138
-0.9850 0.1492 -7.7472
-3.5093 2.4559 -2.0966
-1.0393 0.1245 -2.6970
-0.5997 2.7626 -9.8107
-3.1080 4.9786 -0.0908
-3.5729 2.4039 -7.2675
-3.1352 4.9915 -5.2019
```

Run two
Entry from the Materials Project database: a relaxed NbNO crystal (PBE).

Crystal system: monoclinic
SG: C2/m (12)

Geometry as POSCAR:
```
NbNO
1.0
1.9518 6.6263 0.0000
-1.9518 6.6263 0.0000
0.0000 2.0635 6.5294
N O Nb
4 4 4
Cartesian
0.0000 1.0235 0.9060
0.0000 5.2046 5.5624
0.0000 14.2926 5.6235
0.0000 10.1115 0.9671
0.0000 2.8812 3.2081
0.0000 5.2863 1.3708
0.0000 10.0298 5.1586
0.0000 12.4349 3.3214
0.0000 12.2984 1.4044
0.0000 12.4241 5.2919
0.0000 3.0177 5.1250
0.0000 2.8920 1.2376
```

Which is most stable? The ranking, best first, is run one, run two.

Run one
Entry from the Materials Project database: a relaxed Te4Mo3WSe2S2 crystal (PBE).

Crystal system: trigonal
SG: P3m1 (156)

Geometry as POSCAR:
```
Te4Mo3WSe2S2
1.0
1.4964 2.1720 -2.1471
-3.0267 -1.3436 -0.7751
-17.6273 29.5507 17.6080
S Te Mo Se W
2 4 3 2 1
Cartesian
-7.6046 13.7298 5.8953
-8.9757 16.0283 7.2649
-2.5192 5.2044 0.8154
-13.9678 20.6977 11.2028
-12.2506 17.8190 9.4875
-0.8141 2.3460 -0.8878
-9.7981 13.7076 7.0377
-4.9789 9.3279 3.2724
-3.1743 2.6032 0.4211
-7.2368 9.4138 4.4792
-5.7360 6.8978 2.9800
-11.6022 20.4314 9.8885
```

Run two
Entry from the Materials Project database: a relaxed Te4Mo3WSe2S2 crystal (PBE).

Crystal system: trigonal
SG: P3m1 (156)

Geometry as POSCAR:
```
Te4Mo3WSe2S2
1.0
1.6992 -2.9431 0.0000
1.6992 2.9431 0.0000
0.0000 0.0000 38.6168
Te Mo W Se S
4 3 1 2 2
Cartesian
1.6992 -0.9810 20.0096
1.6992 -0.9810 1.7562
1.6992 -0.9810 5.5006
1.6992 -0.9810 16.2626
1.6992 0.9810 3.6264
1.6992 0.9810 18.1356
1.6992 -0.9810 10.8818
1.6992 -0.9810 25.3921
1.6992 0.9810 27.0448
1.6992 0.9810 23.7400
1.6992 0.9810 12.3845
1.6992 0.9810 9.3793
```

Which is most stable? The ranking, best first, is run two, run one.

Run one
Entry from the Materials Project database: a relaxed MgCu2WS4 crystal (PBE).

Crystal system: monoclinic
SG: Cm (8)

Geometry as POSCAR:
```
MgCu2WS4
1.0
-4.2028 -0.8184 -3.3152
3.4443 -0.6325 -4.1334
0.7181 -5.4756 4.8980
S Cu Mg W
4 2 1 1
Cartesian
-1.8768 -4.8194 1.1311
-0.1373 -1.6532 -1.6781
-0.5055 -2.3543 -5.2845
2.4290 -4.7178 0.6705
2.0598 -6.4459 -0.9074
-1.7642 -6.5373 -0.4985
-0.1832 -3.7235 -3.1609
0.0112 -0.1825 0.0351
```

Run two
Entry from the Materials Project database: a relaxed MgCu2WS4 crystal (PBE).

Crystal system: tetragonal
SG: P-42m (111)

Geometry as POSCAR:
```
MgCu2WS4
1.0
5.6518 0.0000 0.0000
0.0000 5.4494 0.0000
0.0000 0.0000 5.4494
Cu S W Mg
2 4 1 1
Cartesian
0.0000 2.7247 0.0000
0.0000 0.0000 2.7247
4.3003 1.3233 4.1260
1.3516 1.3233 1.3233
1.3516 4.1260 4.1260
4.3003 4.1260 1.3233
0.0000 0.0000 0.0000
2.8259 2.7247 2.7247
```

Which is most stable? The ranking, best first, is run one, run two.

Run one
Entry from the Materials Project database: a relaxed Li2SnP2O7 crystal (PBE).

Crystal system: monoclinic
SG: C2/c (15)

Geometry as POSCAR:
```
Li2SnP2O7
1.0
2.6179 7.9235 0.0000
-2.6179 7.9235 0.0000
0.0000 4.2006 8.4807
O P Sn Li
14 4 2 4
Cartesian
-0.8610 12.1191 4.7857
-0.8610 10.0288 7.9354
0.5448 3.1801 0.9170
-1.4011 13.2771 6.9853
1.4011 11.1768 2.7449
-1.4011 8.8708 5.7358
-2.6072 11.0740 6.3605
0.8610 7.9285 3.6950
-0.5448 5.2804 5.1574
-0.5448 16.8675 7.5637
0.8610 10.0188 0.5453
1.4011 6.7705 1.4954
0.5448 14.7673 3.3233
2.6072 8.9737 2.1202
-1.9759 12.5021 5.7824
1.9759 7.5455 2.6983
-1.9759 9.6458 6.9386
1.9759 10.4018 1.5421
0.0000 10.0238 4.2403
0.0000 7.9235 0.0000
0.7493 5.0397 0.4426
-0.7493 7.1400 4.6830
-0.7493 15.0080 8.0381
0.7493 12.9077 3.7977
```

Run two
Entry from the Materials Project database: a relaxed Li2SnP2O7 crystal (PBE).

Crystal system: monoclinic
SG: P2_1/c (14)

Geometry as POSCAR:
```
Li2SnP2O7
1.0
-4.1788 1.5967 2.4375
-3.0559 -8.1389 0.0923
4.4086 -7.3852 12.3958
O Li Sn P
28 8 4 8
Cartesian
-1.6050 -1.7414 1.6338
0.5661 -2.4243 3.8123
0.4563 -7.9088 10.2686
-1.2212 -12.1860 13.2918
2.2675 -7.6653 12.0579
-0.4577 -4.7092 3.3181
1.0088 -9.8351 12.3789
-1.4116 -8.7635 7.8757
-1.2493 -6.0531 12.0321
-1.4145 -5.1639 7.0498
-2.1297 -5.6387 0.8110
1.0568 -5.6088 7.5649
-3.3922 -11.5031 11.1132
-3.8350 -4.0923 2.5466
-3.2720 -9.8085 9.2887
0.4458 -4.1189 5.6369
-1.7086 -3.0273 4.8163
-2.8434 -7.3216 9.4519
-3.8829 -8.3187 7.3607
-0.6964 -8.2887 14.1146
-2.3684 -9.2183 11.6074
-3.2824 -6.0187 4.6569
-5.0936 -6.2621 2.8676
0.0173 -6.6059 5.4737
-1.5768 -7.8743 2.8935
-4.4912 -8.2328 4.2706
-1.1176 -10.9002 10.1092
1.6651 -5.6946 10.6549
-0.6810 -8.2838 12.0546
-1.7297 -1.2144 5.8078
0.4684 -4.9047 12.0094
-2.1451 -5.6436 2.8709
0.2081 -9.3932 8.9819
-3.0343 -4.5343 5.9437
-1.0965 -12.7130 9.1177
-3.2945 -9.0228 2.9162
-1.4257 -8.3010 5.3844
-1.4004 -5.6264 9.5411
-3.3921 -2.0150 3.2193
0.5660 -11.9124 11.7063
1.7888 -7.2144 10.5460
-5.2412 -4.7147 2.3891
-4.6149 -6.7130 4.3796
2.4151 -9.2127 12.5364
-2.8009 -8.4975 8.4494
-0.0252 -5.4299 6.4762
-2.4825 -10.3782 10.6194
-0.3436 -3.5493 4.3061
```

Which is most stable? The ranking, best first, is run two, run one.